No. 1
A relaxed structure of Li5H9Pt2, computed with r2SCAN.

Lattice parameters (Å, degrees): 8.2868 8.2868 8.4505 90.00 90.00 90.00
With the nearest neighbours (Å) after each atom.
Space group I4/mcm (No. 140)
One atom of each set of equivalent atoms:
Li: 0.0000 0.0000 0.0000 x4  8 H 2.29
Li: 0.1488 0.3512 0.1586 x16  5 H 2.11-2.20
H: 0.0000 0.5000 0.0000 x4  2 Pt 1.85
H: 0.0743 0.2274 0.3643 x32  1 Pt 1.64
Pt: 0.1580 0.3420 0.5000 x8  4 H 1.64

No. 2
A relaxed structure of Nd5As4Cl3O12, computed with r2SCAN.

Lattice parameters (Å, degrees): 10.2769 5.4413 16.9023 90.00 124.00 90.00
With the nearest neighbours (Å) after each atom.
Space group P2/c (No. 13)
One atom of each set of equivalent atoms:
Nd: 0.0000 0.2098 0.2500 x2  8 O 2.38-2.52
Nd: 0.0047 0.2631 0.5853 x4  7 O 2.29-2.54
Nd: 0.3413 0.2442 0.5334 x4  3 O 2.30-2.48
As: 0.2583 0.2633 0.1499 x4  3 O 1.77-1.85
As: 0.2713 0.2387 0.8620 x4  3 O 1.75-1.81
Cl: 0.4941 0.2543 0.4178 x4  3 Nd 3.06-3.12, 4 As 3.10-3.37, 4 O 3.22-3.33
Cl: 0.5000 0.2458 0.7500 x2  2 Nd 3.06, 4 O 3.36, 2 As 3.39
O: 0.0926 0.3224 0.1538 x4  1 As 1.77
O: 0.1382 0.1551 0.7429 x4  1 As 1.75
O: 0.1748 0.0131 0.0642 x4  1 As 1.82
O: 0.1806 0.4925 0.8794 x4  1 As 1.78
O: 0.1864 0.4993 0.0557 x4  1 As 1.85
O: 0.1912 0.0150 0.9032 x4  1 As 1.81

No. 3
A relaxed structure of Hf3Zn3N, computed with r2SCAN.

Lattice parameters (Å, degrees): 11.9208 11.9208 11.9208 90.00 90.00 90.00
With the nearest neighbours (Å) after each atom.
Space group Fd-3m (No. 227, origin choice 2)
One atom of each set of equivalent atoms:
Hf: 0.0613 0.3750 0.3750 x48  2 N 2.23
Zn: 0.0000 0.0000 0.5000 x16  6 Zn 2.57
Zn: 0.0433 0.0433 0.7067 x32  6 Zn 2.57-2.76, 3 Hf 2.84
N: 0.0000 0.0000 0.0000 x16  6 Hf 2.23

No. 4
A relaxed structure of NbAlCl8, computed with r2SCAN.

Lattice parameters (Å, degrees): 8.0785 17.4055 8.2907 90.00 90.00 90.00
With the nearest neighbours (Å) after each atom.
Space group Cmcm (No. 63)
One atom of each set of equivalent atoms:
Nb: 0.0000 0.1109 0.2500 x4  4 Cl 2.25-2.32
Al: 0.0000 0.3151 0.2500 x4  4 Cl 2.10-2.21
Cl: 0.0000 0.1325 0.5261 x8  1 Nb 2.32
Cl: 0.0000 0.3797 0.0365 x8  1 Al 2.10
Cl: 0.2049 0.2310 0.2500 x8  1 Al 2.21
Cl: 0.2173 0.0297 0.2500 x8  1 Nb 2.25

No. 5
A relaxed structure of CaYbIn2, computed with r2SCAN.

Lattice parameters (Å, degrees): 7.5070 7.5070 7.5070 90.00 90.00 90.00
With the nearest neighbours (Å) after each atom.
Space group Fm-3m (No. 225)
One atom of each set of equivalent atoms:
Ca: 0.0000 0.0000 0.0000 x4  8 In 3.25
Yb: 0.0000 0.0000 0.5000 x4  8 In 3.25
In: 0.2500 0.2500 0.2500 x8  4 Ca 3.25, 4 Yb 3.25

No. 6
A relaxed structure of La2SnS3O2, computed with r2SCAN.

Lattice parameters (Å, degrees): 5.8881 19.1593 5.8749 90.00 90.00 90.00
With the nearest neighbours (Å) after each atom.
Space group Pnma (No. 62)
One atom of each set of equivalent atoms:
La: 0.2480 0.0630 0.0018 x8  4 O 2.40-2.41
Sn: 0.1522 0.7500 0.9297 x4  4 S 2.36-2.47
S: 0.2408 0.7500 0.5181 x4  2 Sn 2.44-2.47
S: 0.2441 0.1339 0.5124 x8  1 Sn 2.36
O: 0.0006 0.0004 0.7488 x8  4 La 2.40-2.41

no.,density (g/cm3),total moment (μB/atom),energy of formation from the pure elements (eV/atom)
1,5.0,0.000,-0.493
2,5.6,0.000,-2.694
3,11.7,0.000,-0.819
4,2.3,0.000,-1.494
5,7.0,0.000,-0.532
6,5.3,0.000,-2.386